A plane-wave DFT calculation with PBE was carried out for an optimized crystal structure of PmAs3.

abc: 4.429 4.429 4.429
angles: 90.00 90.00 90.00
Sites, in units of the cell vectors:
Pm1 0.000 0.000 0.000
As1 0.000 0.500 0.500
As2 0.500 0.000 0.500
As3 0.500 0.500 0.000

Calculated values
* polymorph energy (0 for the lowest one): 0.000 eV/atom

---

A plane-wave DFT calculation with PBE was carried out for an optimized crystal structure of PmAs3.

abc: 5.824 5.824 5.824
angles: 138.14 138.14 60.69
Sites, in units of the cell vectors:
Pm1 0.000 0.000 0.000
As1 0.750 0.250 0.500
As2 0.250 0.750 0.500
As3 0.500 0.500 0.000

Calculated values
* polymorph energy (0 for the lowest one): 0.005 eV/atom

---

A plane-wave DFT calculation with PBE was carried out for an optimized crystal structure of PrAs.

abc: 3.925 3.925 3.281
angles: 90.00 90.00 90.00
Sites, in units of the cell vectors:
Pr1 0.000 0.000 0.000
As1 0.500 0.500 0.500

---

A plane-wave DFT calculation with PBE was carried out for an optimized crystal structure of PrAs2.

abc: 4.172 6.951 10.303
angles: 90.00 96.05 90.00
Sites, in units of the cell vectors:
Pr1 0.771 0.686 0.860
Pr2 0.729 0.186 0.640
Pr3 0.229 0.314 0.140
Pr4 0.271 0.814 0.360
As1 0.822 0.623 0.550
As2 0.678 0.123 0.950
As3 0.178 0.377 0.450
As4 0.322 0.877 0.050
As5 0.290 0.354 0.829
As6 0.210 0.854 0.671
As7 0.710 0.646 0.171
As8 0.790 0.146 0.329

---

A plane-wave DFT calculation with PBE was carried out for an optimized crystal structure of PrAs.

abc: 4.309 4.309 4.309
angles: 60.00 60.00 60.00
Sites, in units of the cell vectors:
Pr1 0.500 0.500 0.500
As1 0.000 0.000 0.000

---

A plane-wave DFT calculation with PBE was carried out for an optimized crystal structure of PrAs2Rh2.

abc: 4.298 4.298 10.133
angles: 90.00 90.00 90.00
Sites, in units of the cell vectors:
Pr1 0.000 0.500 0.255
Pr2 0.500 0.000 0.745
As1 0.000 0.000 0.500
As2 0.500 0.500 0.500
As3 0.000 0.500 0.863
As4 0.500 0.000 0.137
Rh1 0.000 0.000 0.000
Rh2 0.500 0.500 0.000
Rh3 0.000 0.500 0.622
Rh4 0.500 0.000 0.378

---

A plane-wave DFT calculation with PBE was carried out for an optimized crystal structure of Pr3Zn2As6.

abc: 5.746 7.784 12.433
angles: 74.50 90.00 90.00
Sites, in units of the cell vectors:
Pr1 0.250 0.056 0.895
Pr2 0.250 0.289 0.159
Pr3 0.250 0.727 0.514
Pr4 0.750 0.711 0.841
Pr5 0.750 0.944 0.105
Pr6 0.750 0.273 0.486
Zn1 0.250 0.453 0.871
Zn2 0.250 0.081 0.631
Zn3 0.750 0.547 0.129
Zn4 0.750 0.919 0.369
As1 0.250 0.783 0.759
As2 0.250 0.689 0.046
As3 0.250 0.889 0.174
As4 0.250 0.489 0.350
As5 0.250 0.159 0.425
As6 0.250 0.373 0.678
As7 0.750 0.841 0.575
As8 0.750 0.111 0.826
As9 0.750 0.311 0.954
As10 0.750 0.627 0.322
As11 0.750 0.217 0.241
As12 0.750 0.511 0.650

Calculated values
* polymorph energy (0 for the lowest one): 0.282 eV/atom

---

A plane-wave DFT calculation with PBE was carried out for an optimized crystal structure of PrZn3As3.

abc: 4.215 4.215 20.659
angles: 90.00 90.00 119.95
Sites, in units of the cell vectors:
Pr1 0.998 0.001 0.500
Pr2 0.998 0.001 0.000
Zn1 0.666 0.335 0.128
Zn2 0.334 0.668 0.872
Zn3 0.334 0.668 0.628
Zn4 0.666 0.335 0.372
Zn5 0.633 0.358 0.750
Zn6 0.276 0.634 0.250
As1 0.666 0.334 0.587
As2 0.333 0.668 0.413
As3 0.333 0.668 0.087
As4 0.666 0.334 0.913
As5 0.297 0.695 0.750
As6 0.602 0.297 0.250

---

A plane-wave DFT calculation with PBE was carried out for an optimized crystal structure of Pr3Zn2As6.

abc: 4.125 10.265 11.954
angles: 90.00 90.00 90.00
Sites, in units of the cell vectors:
Pr1 0.750 0.264 0.750
Pr2 0.750 0.269 0.414
Pr3 0.250 0.731 0.914
Pr4 0.250 0.731 0.586
Pr5 0.250 0.736 0.250
Pr6 0.750 0.269 0.086
Zn1 0.250 0.003 0.096
Zn2 0.250 0.003 0.404
Zn3 0.750 0.997 0.596
Zn4 0.750 0.997 0.904
As1 0.750 0.502 0.250
As2 0.750 0.498 0.916
As3 0.750 0.837 0.750
As4 0.750 0.845 0.419
As5 0.250 0.155 0.919
As6 0.250 0.155 0.581
As7 0.250 0.163 0.250
As8 0.250 0.502 0.084
As9 0.250 0.498 0.750
As10 0.250 0.502 0.416
As11 0.750 0.498 0.584
As12 0.750 0.845 0.081

Calculated values
* polymorph energy (0 for the lowest one): 0.000 eV/atom

---

A plane-wave DFT calculation with PBE was carried out for an optimized crystal structure of Pr2ZnAs4.

abc: 3.991 3.991 10.365
angles: 90.00 90.00 90.00
Sites, in units of the cell vectors:
Pr1 0.500 0.000 0.741
Pr2 0.000 0.500 0.259
Zn1 0.500 0.500 0.000
As1 0.500 0.000 0.150
As2 0.000 0.500 0.850
As3 0.500 0.500 0.500
As4 0.000 0.000 0.500

---

A plane-wave DFT calculation with PBE was carried out for an optimized crystal structure of AsPt3.

abc: 5.587 5.587 4.771
angles: 90.00 90.00 120.00
Sites, in units of the cell vectors:
As1 0.333 0.667 0.750
As2 0.667 0.333 0.250
Pt1 0.166 0.333 0.250
Pt2 0.667 0.834 0.250
Pt3 0.166 0.834 0.250
Pt4 0.834 0.667 0.750
Pt5 0.333 0.166 0.750
Pt6 0.834 0.166 0.750

---

A plane-wave DFT calculation with PBE was carried out for an optimized crystal structure of AsPt3.

abc: 4.014 4.014 4.014
angles: 90.00 90.00 90.00
Sites, in units of the cell vectors:
As1 0.000 0.000 0.000
Pt1 0.000 0.500 0.500
Pt2 0.500 0.000 0.500
Pt3 0.500 0.500 0.000

---

A plane-wave DFT calculation with PBE was carried out for an optimized crystal structure of AsPtS.

abc: 6.018 6.018 6.018
angles: 90.00 90.00 90.00
Sites, in units of the cell vectors:
As1 0.115 0.885 0.385
As2 0.885 0.385 0.115
As3 0.385 0.115 0.885
As4 0.615 0.615 0.615
Pt1 0.502 0.498 0.998
Pt2 0.498 0.998 0.502
Pt3 0.998 0.502 0.498
Pt4 0.002 0.002 0.002
S1 0.891 0.109 0.609
S2 0.109 0.609 0.891
S3 0.609 0.891 0.109
S4 0.391 0.391 0.391

---

A plane-wave DFT calculation with PBE was carried out for an optimized crystal structure of SmAsPt.

abc: 4.332 4.332 15.889
angles: 90.00 90.00 120.00
Sites, in units of the cell vectors:
Sm1 0.000 0.000 0.500
Sm2 0.000 0.000 0.000
Sm3 0.000 0.000 0.750
Sm4 0.000 0.000 0.250
As1 0.333 0.667 0.118
As2 0.667 0.333 0.882
As3 0.667 0.333 0.618
As4 0.333 0.667 0.382
Pt1 0.333 0.667 0.633
Pt2 0.667 0.333 0.367
Pt3 0.667 0.333 0.133
Pt4 0.333 0.667 0.867

---

A plane-wave DFT calculation with PBE was carried out for an optimized crystal structure of SrAs2Pt2.

abc: 4.526 8.998 10.094
angles: 89.21 90.00 90.00
Sites, in units of the cell vectors:
Sr1 0.760 0.626 0.751
Sr2 0.740 0.126 0.751
Sr3 0.260 0.874 0.249
Sr4 0.240 0.374 0.249
As1 0.254 0.624 0.999
As2 0.246 0.124 0.999
As3 0.205 0.386 0.629
As4 0.746 0.376 0.001
As5 0.795 0.614 0.371
As6 0.754 0.876 0.001
As7 0.295 0.886 0.629
As8 0.705 0.114 0.371
Pt1 0.677 0.359 0.498
Pt2 0.823 0.859 0.498
Pt3 0.747 0.126 0.120
Pt4 0.323 0.641 0.502
Pt5 0.753 0.626 0.120
Pt6 0.253 0.874 0.880
Pt7 0.247 0.374 0.880
Pt8 0.177 0.141 0.502

---

A plane-wave DFT calculation with PBE was carried out for an optimized crystal structure of SrAsPt.

abc: 4.302 4.302 9.099
angles: 90.00 90.00 120.00
Sites, in units of the cell vectors:
Sr1 0.000 0.000 0.500
Sr2 0.000 0.000 0.000
As1 0.333 0.667 0.250
As2 0.667 0.333 0.750
Pt1 0.333 0.667 0.750
Pt2 0.667 0.333 0.250

---

A plane-wave DFT calculation with PBE was carried out for an optimized crystal structure of SrAs2Pt2.

abc: 4.543 4.543 9.994
angles: 90.00 90.00 90.00
Sites, in units of the cell vectors:
Sr1 0.000 0.500 0.252
Sr2 0.500 0.000 0.748
As1 0.000 0.500 0.872
As2 0.500 0.000 0.128
As3 0.500 0.500 0.500
As4 0.000 0.000 0.500
Pt1 0.500 0.500 0.000
Pt2 0.000 0.000 0.000
Pt3 0.000 0.500 0.618
Pt4 0.500 0.000 0.382

---

A plane-wave DFT calculation with PBE was carried out for an optimized crystal structure of TmAsPt.

abc: 4.260 4.260 15.336
angles: 90.00 90.00 120.00
Sites, in units of the cell vectors:
Tm1 0.000 0.000 0.500
Tm2 0.000 0.000 0.000
Tm3 0.000 0.000 0.250
Tm4 0.000 0.000 0.750
As1 0.333 0.667 0.885
As2 0.667 0.333 0.115
As3 0.667 0.333 0.385
As4 0.333 0.667 0.615
Pt1 0.333 0.667 0.364
Pt2 0.667 0.333 0.636
Pt3 0.667 0.333 0.864
Pt4 0.333 0.667 0.136

---

A plane-wave DFT calculation with PBE was carried out for an optimized crystal structure of ZnAsPt5.

abc: 3.971 3.971 7.166
angles: 90.00 90.00 90.00
Sites, in units of the cell vectors:
Zn1 0.500 0.500 0.000
As1 0.000 0.000 0.500
Pt1 0.000 0.500 0.278
Pt2 0.000 0.500 0.722
Pt3 0.500 0.000 0.278
Pt4 0.500 0.000 0.722
Pt5 0.000 0.000 0.000

---

A plane-wave DFT calculation with PBE was carried out for an optimized crystal structure of PuAs3.

abc: 4.298 4.298 4.298
angles: 90.00 90.00 90.00
Sites, in units of the cell vectors:
Pu1 0.000 0.000 0.000
As1 0.000 0.500 0.500
As2 0.500 0.000 0.500
As3 0.500 0.500 0.000

---

A plane-wave DFT calculation with PBE was carried out for an optimized crystal structure of Rb3As.

abc: 6.183 6.183 10.891
angles: 90.00 90.00 120.00
Sites, in units of the cell vectors:
Rb1 0.333 0.667 0.578
Rb2 0.667 0.333 0.078
Rb3 0.667 0.333 0.422
Rb4 0.333 0.667 0.922
Rb5 0.000 0.000 0.750
Rb6 0.000 0.000 0.250
As1 0.667 0.333 0.750
As2 0.333 0.667 0.250

---

A plane-wave DFT calculation with PBE was carried out for an optimized crystal structure of RbAs.

abc: 6.743 7.083 12.270
angles: 90.00 90.00 90.00
Sites, in units of the cell vectors:
Rb1 0.099 0.109 0.418
Rb2 0.599 0.391 0.582
Rb3 0.901 0.609 0.082
Rb4 0.401 0.891 0.918
Rb5 0.668 0.146 0.213
Rb6 0.168 0.354 0.787
Rb7 0.332 0.646 0.287
Rb8 0.832 0.854 0.713
As1 0.169 0.185 0.106
As2 0.669 0.315 0.894
As3 0.831 0.685 0.394
As4 0.331 0.815 0.606
As5 0.410 0.425 0.031
As6 0.910 0.075 0.969
As7 0.590 0.925 0.469
As8 0.090 0.575 0.531

Calculated values
* maximum piezoelectric response: 0.22 C/m²

---

Number 1: E_form -0.53 eV per atom. Number 2: E_form -0.53 eV per atom. Number 3: E_form -1.07 eV per atom. Number 4: E_form -0.99 eV per atom. Number 5: E_form -1.49 eV per atom. Number 6: E_form -0.93 eV per atom. Number 7: E_form -0.59 eV per atom. Number 8: E_form -0.54 eV per atom. Number 9: E_form -0.87 eV per atom. Number 10: E_form -0.88 eV per atom. Number 11: E_form 0.05 eV per atom. Number 12: E_form 0.06 eV per atom. Number 13: E_form -0.55 eV per atom. Number 14: E_form -1.22 eV per atom. Number 15: E_form -0.77 eV per atom. Number 16: E_form -1.01 eV per atom. Number 17: E_form -0.76 eV per atom. Number 18: E_form -1.17 eV per atom. Number 19: E_form -0.30 eV per atom. Number 20: E_form -0.50 eV per atom. Number 21: E_form -0.25 eV per atom. Number 22: E_form -0.42 eV per atom.